Material: CdI2
Method: DFT, PBE
State: optimized geometry

Structure (extended XYZ):
```
30
Lattice="2.172 -3.762 0.000 2.172 3.762 0.000 0.000 0.000 73.648" Properties=species:S:1:pos:R:3 pbc="T T T"
I 2.172 1.254 36.934
I 0.000 0.000 44.298
I 2.172 -1.254 3.573
I 2.172 -1.254 47.761
I 2.172 -1.254 69.856
I 2.172 1.254 51.664
I 0.000 0.000 66.392
I 0.000 0.000 22.204
I 2.172 1.254 0.110
I 2.172 -1.254 25.668
I 2.172 -1.254 18.303
I 2.172 -1.254 55.127
I 2.172 1.254 29.570
I 2.172 -1.254 40.397
I 2.172 -1.254 62.492
I 2.172 -1.254 10.937
I 0.000 0.000 7.474
I 0.000 0.000 59.028
I 2.172 1.254 14.840
I 2.172 -1.254 33.033
Cd 2.172 1.254 46.029
Cd 2.172 1.254 68.124
Cd 0.000 0.000 38.665
Cd 0.000 0.000 31.301
Cd 0.000 0.000 16.571
Cd 2.172 1.254 23.936
Cd 0.000 0.000 53.395
Cd 0.000 0.000 1.841
Cd 2.172 1.254 60.760
Cd 2.172 1.254 9.205
```

Properties
SG = P3m1
electronic total energy = -1.9083 eV per atom
DFT formation energy = -0.84 eV per atom